Entry from the Materials Project database: a relaxed Li7Mn7P8O34 crystal (GGA+U).

Calculated values
Symmetry ... P2_1/c (14)

a b c (Å): 20.043 8.188 10.029
angles (deg): 70.22 90.00 90.00
Atoms (fractional coordinates):
P: 0.733 0.960 0.354
O: 0.561 0.235 0.346
O: 0.091 0.556 0.503
P: 0.008 0.168 0.812
O: 0.163 0.509 0.719
O: 0.224 0.848 0.165
O: 0.322 0.156 0.547
P: 0.508 0.832 0.688
O: 0.237 0.085 0.286
Mn: 0.362 0.722 0.777
O: 0.615 0.054 0.212
O: 0.263 0.085 0.786
Mn: 0.414 0.113 0.600
Li: 0.248 0.457 0.308
Mn: 0.914 0.887 0.900
O: 0.562 0.772 0.602
O: 0.438 0.228 0.398
O: 0.588 0.811 0.088
O: 0.178 0.156 0.047
Mn: 0.586 0.887 0.400
Li: 0.875 0.757 0.392
O: 0.409 0.556 0.003
Mn: 0.862 0.278 0.723
Mn: 0.335 0.009 0.926
O: 0.879 0.186 0.420
O: 0.971 0.760 0.345
Li: 0.375 0.243 0.108
O: 0.005 0.967 0.858
O: 0.822 0.844 0.953
P: 0.767 0.960 0.854
O: 0.776 0.152 0.835
Mn: 0.138 0.722 0.277
O: 0.737 0.915 0.214
O: 0.200 0.108 0.566
Mn: 0.500 0.500 0.000
O: 0.678 0.844 0.453
O: 0.514 0.556 0.178
O: 0.061 0.765 0.154
O: 0.701 0.331 0.045
O: 0.300 0.108 0.066
O: 0.439 0.765 0.654
P: 0.147 0.638 0.572
O: 0.029 0.240 0.655
P: 0.992 0.832 0.188
O: 0.837 0.491 0.281
O: 0.144 0.477 0.282
O: 0.621 0.186 0.920
P: 0.647 0.362 0.928
O: 0.570 0.658 0.357
O: 0.299 0.669 0.955
O: 0.885 0.054 0.712
O: 0.014 0.444 0.322
O: 0.412 0.189 0.912
O: 0.995 0.033 0.142
O: 0.799 0.331 0.545
Li: 0.500 0.000 0.000
O: 0.663 0.491 0.781
P: 0.233 0.040 0.146
O: 0.430 0.342 0.643
Li: 0.125 0.243 0.608
O: 0.121 0.814 0.580
O: 0.986 0.556 0.678
O: 0.800 0.892 0.434
Mn: 0.638 0.278 0.223
O: 0.529 0.760 0.845
O: 0.644 0.523 0.218
P: 0.921 0.637 0.713
O: 0.505 0.033 0.642
Li: 0.748 0.543 0.192
Mn: 0.000 0.500 0.500
O: 0.930 0.658 0.857
O: 0.201 0.669 0.455
Li: 0.931 0.515 0.175
O: 0.486 0.444 0.822
O: 0.938 0.772 0.102
P: 0.353 0.638 0.072
P: 0.079 0.363 0.287
O: 0.115 0.946 0.288
Mn: 0.086 0.113 0.100
Mn: 0.665 0.991 0.074
O: 0.070 0.342 0.143
O: 0.939 0.235 0.846
O: 0.912 0.811 0.588
O: 0.062 0.228 0.898
O: 0.276 0.848 0.665
Mn: 0.835 0.991 0.574
P: 0.421 0.363 0.787
Li: 0.569 0.515 0.675
O: 0.379 0.814 0.080
O: 0.337 0.509 0.219
P: 0.579 0.637 0.213
O: 0.700 0.892 0.934
Li: 0.252 0.457 0.808
P: 0.853 0.362 0.428
P: 0.492 0.168 0.312
O: 0.088 0.189 0.412
O: 0.909 0.444 0.497
Mn: 0.165 0.009 0.426
O: 0.385 0.946 0.788
O: 0.763 0.915 0.714
O: 0.356 0.477 0.782
O: 0.724 0.152 0.335
O: 0.856 0.523 0.718
Li: 0.625 0.757 0.892
O: 0.591 0.444 0.997
Li: 0.752 0.543 0.692
Li: 0.000 0.000 0.500
O: 0.471 0.240 0.155
O: 0.495 0.967 0.358
Li: 0.069 0.485 0.825
P: 0.267 0.040 0.646
Li: 0.431 0.485 0.325

---

Entry from the Materials Project database: a relaxed Fe25Si11O48 crystal (GGA+U).

Calculated values
Symmetry ... Cm (8)

a b c (Å): 10.241 10.241 10.236
angles (deg): 80.41 80.41 120.00
Atoms (fractional coordinates):
O: 0.407 0.892 0.317
O: 0.493 0.826 0.058
O: 0.980 0.802 0.058
Fe: 0.523 0.523 0.439
Fe: 0.773 0.270 0.190
O: 0.826 0.493 0.058
O: 0.558 0.225 0.327
O: 0.652 0.652 0.048
Fe: 0.687 0.354 0.936
O: 0.881 0.881 0.819
Fe: 0.440 0.104 0.186
O: 0.315 0.469 0.057
O: 0.328 0.993 0.558
Fe: 0.208 0.208 0.375
Fe: 0.436 0.604 0.687
Si: 0.667 0.000 0.000
Si: 0.000 0.667 0.000
Fe: 0.270 0.773 0.190
Fe: 0.937 0.604 0.687
Fe: 0.935 0.104 0.690
O: 0.802 0.980 0.058
Fe: 0.772 0.272 0.687
Fe: 0.439 0.608 0.186
O: 0.549 0.215 0.817
O: 0.059 0.240 0.820
O: 0.392 0.392 0.826
Fe: 0.604 0.436 0.687
Fe: 0.272 0.272 0.690
Fe: 0.935 0.103 0.186
Fe: 0.103 0.935 0.186
Si: 0.542 0.875 0.375
O: 0.215 0.549 0.817
O: 0.482 0.301 0.558
O: 0.231 0.055 0.309
Si: 0.041 0.375 0.875
O: 0.055 0.231 0.309
O: 0.147 0.636 0.558
O: 0.395 0.906 0.816
O: 0.319 0.982 0.047
Si: 0.500 0.167 0.500
O: 0.889 0.889 0.327
O: 0.892 0.407 0.317
Fe: 0.608 0.439 0.186
Fe: 0.104 0.440 0.186
Si: 0.833 0.833 0.500
O: 0.647 0.135 0.058
O: 0.817 0.484 0.549
O: 0.160 0.160 0.056
O: 0.135 0.647 0.058
O: 0.982 0.319 0.047
Si: 0.708 0.708 0.875
O: 0.967 0.813 0.558
O: 0.469 0.315 0.057
O: 0.484 0.817 0.549
O: 0.049 0.713 0.317
O: 0.142 0.142 0.574
O: 0.993 0.328 0.558
O: 0.743 0.564 0.316
O: 0.813 0.967 0.558
O: 0.564 0.743 0.316
Fe: 0.767 0.767 0.190
O: 0.728 0.573 0.817
Fe: 0.272 0.772 0.687
Si: 0.333 0.333 0.000
O: 0.713 0.049 0.317
O: 0.409 0.409 0.307
O: 0.659 0.659 0.558
Fe: 0.104 0.935 0.690
Si: 0.875 0.542 0.375
Fe: 0.187 0.851 0.439
Fe: 0.851 0.187 0.439
O: 0.906 0.395 0.816
O: 0.573 0.728 0.817
Fe: 0.023 0.023 0.934
Si: 0.167 0.500 0.500
O: 0.225 0.558 0.327
O: 0.725 0.058 0.827
Fe: 0.354 0.687 0.936
O: 0.301 0.482 0.558
Si: 0.375 0.041 0.875
O: 0.240 0.059 0.820
O: 0.058 0.725 0.827
Fe: 0.604 0.937 0.687
O: 0.636 0.147 0.558

---

Entry from the Materials Project database: a relaxed Li2FeF4 crystal (GGA+U).

Calculated values
ΔE to the lowest computed polymorph ... 53 meV per atom
Symmetry ... P2_1/c (14)

a b c (Å): 7.130 10.055 10.215
angles (deg): 62.18 90.00 90.00
Atoms (fractional coordinates):
F: 0.836 0.439 0.987
Fe: 0.287 0.247 0.517
F: 0.666 0.424 0.505
Li: 0.590 0.930 0.644
F: 0.278 0.743 0.185
Li: 0.978 0.426 0.154
F: 0.033 0.880 0.963
Li: 0.522 0.926 0.154
Fe: 0.787 0.253 0.483
Li: 0.493 0.574 0.344
F: 0.405 0.916 0.797
F: 0.164 0.561 0.013
F: 0.336 0.061 0.013
Fe: 0.213 0.747 0.517
Li: 0.478 0.074 0.846
F: 0.778 0.757 0.815
F: 0.137 0.747 0.700
Fe: 0.288 0.760 0.979
F: 0.637 0.753 0.300
Fe: 0.712 0.240 0.021
F: 0.222 0.243 0.185
F: 0.967 0.120 0.037
F: 0.334 0.576 0.495
Fe: 0.713 0.753 0.483
F: 0.363 0.247 0.700
Li: 0.873 0.069 0.874
F: 0.834 0.924 0.505
F: 0.664 0.939 0.987
Li: 0.910 0.430 0.644
F: 0.095 0.416 0.797
Li: 0.373 0.431 0.126
F: 0.533 0.620 0.037
F: 0.652 0.574 0.686
Li: 0.090 0.570 0.356
Fe: 0.788 0.740 0.021
F: 0.905 0.584 0.203
Li: 0.627 0.569 0.874
F: 0.848 0.074 0.686
Li: 0.993 0.926 0.656
Li: 0.507 0.426 0.656
F: 0.166 0.076 0.495
F: 0.966 0.640 0.492
F: 0.595 0.084 0.203
F: 0.348 0.426 0.314
F: 0.534 0.140 0.492
F: 0.152 0.926 0.314
Fe: 0.212 0.260 0.979
Li: 0.007 0.074 0.344
Li: 0.022 0.574 0.846
F: 0.863 0.253 0.300
F: 0.467 0.380 0.963
F: 0.466 0.860 0.508
F: 0.722 0.257 0.815
Li: 0.410 0.070 0.356
Li: 0.127 0.931 0.126
F: 0.034 0.360 0.508

---

Entry from the Materials Project database: a relaxed NaCoH4SO6F crystal (GGA+U).

Calculated values
Symmetry ... P2_1/m (11)

a b c (Å): 5.794 7.397 7.279
angles (deg): 90.00 111.99 90.00
Atoms (fractional coordinates):
F: 0.372 0.750 0.528
O: 0.303 0.085 0.679
O: 0.832 0.750 0.091
Co: 0.500 0.500 0.500
O: 0.697 0.585 0.321
H: 0.924 0.069 0.797
O: 0.170 0.455 0.247
O: 0.830 0.955 0.753
H: 0.076 0.931 0.203
O: 0.303 0.415 0.679
O: 0.168 0.250 0.909
Na: 0.863 0.250 0.293
H: 0.924 0.431 0.797
H: 0.792 0.590 0.866
O: 0.697 0.915 0.321
H: 0.792 0.910 0.866
S: 0.355 0.250 0.809
O: 0.830 0.545 0.753
Na: 0.137 0.750 0.707
O: 0.170 0.045 0.247
H: 0.208 0.410 0.134
S: 0.645 0.750 0.191
Co: 0.500 0.000 0.500
H: 0.208 0.090 0.134
O: 0.390 0.750 0.045
H: 0.076 0.569 0.203
O: 0.610 0.250 0.955
F: 0.628 0.250 0.472

---

Entry from the Materials Project database: a relaxed BaSmEuWO6 crystal (GGA+U).

Calculated values
ΔE to the lowest computed polymorph ... 107 meV per atom
Symmetry ... F-43m (216)

a b c (Å): 6.054 6.054 6.054
angles (deg): 60.00 60.00 60.00
Atoms (fractional coordinates):
O: 0.733 0.733 0.267
O: 0.733 0.267 0.733
W: 0.500 0.500 0.500
O: 0.267 0.267 0.733
O: 0.733 0.267 0.267
O: 0.267 0.733 0.733
O: 0.267 0.733 0.267
Eu: 0.250 0.250 0.250
Sm: 0.000 0.000 0.000
Ba: 0.750 0.750 0.750

---

Entry from the Materials Project database: a relaxed Cr2Hg2O9 crystal (GGA+U).

Calculated values
Symmetry ... C2/c (15)

a b c (Å): 6.582 6.582 13.795
angles (deg): 73.05 73.05 47.74
Atoms (fractional coordinates):
Cr: 0.156 0.545 0.598
O: 0.607 0.798 0.425
O: 0.737 0.090 0.988
O: 0.105 0.895 0.250
O: 0.394 0.705 0.835
O: 0.385 0.128 0.836
O: 0.705 0.394 0.335
O: 0.263 0.910 0.012
O: 0.090 0.737 0.488
Cr: 0.455 0.844 0.902
O: 0.606 0.295 0.165
O: 0.295 0.606 0.665
O: 0.393 0.202 0.575
O: 0.202 0.393 0.075
Hg: 0.337 0.908 0.624
Hg: 0.663 0.092 0.376
Cr: 0.844 0.455 0.402
O: 0.910 0.263 0.512
O: 0.895 0.105 0.750
Hg: 0.908 0.337 0.124
O: 0.872 0.615 0.664
O: 0.798 0.607 0.925
Hg: 0.092 0.663 0.876
O: 0.128 0.385 0.336
O: 0.615 0.872 0.164
Cr: 0.545 0.156 0.098

---

Entry from the Materials Project database: a relaxed TiMn3Sb2P6O24 crystal (GGA+U).

Calculated values
Symmetry ... R3 (146)

a b c (Å): 8.868 8.868 8.868
angles (deg): 58.96 58.96 58.96
Atoms (fractional coordinates):
O: 0.297 0.521 0.108
O: 0.570 0.760 0.412
O: 0.695 0.489 0.887
O: 0.927 0.080 0.735
Mn: 0.648 0.648 0.648
O: 0.986 0.201 0.386
O: 0.108 0.297 0.521
O: 0.735 0.927 0.080
Mn: 0.154 0.154 0.154
O: 0.919 0.265 0.061
Mn: 0.349 0.349 0.349
O: 0.987 0.818 0.615
O: 0.760 0.412 0.570
O: 0.887 0.695 0.489
Ti: 0.854 0.854 0.854
P: 0.038 0.751 0.460
O: 0.386 0.986 0.201
P: 0.751 0.460 0.038
O: 0.446 0.231 0.592
O: 0.521 0.108 0.297
O: 0.201 0.386 0.986
O: 0.592 0.446 0.231
O: 0.265 0.061 0.919
O: 0.818 0.615 0.987
P: 0.248 0.547 0.954
O: 0.412 0.570 0.760
O: 0.615 0.987 0.818
O: 0.080 0.735 0.927
Sb: 0.011 0.011 0.011
O: 0.061 0.919 0.265
P: 0.460 0.038 0.751
P: 0.954 0.248 0.547
Sb: 0.501 0.501 0.501
O: 0.231 0.592 0.446
P: 0.547 0.954 0.248
O: 0.489 0.887 0.695

---

The following ρ values (in g/cm³) correspond, in order, to the records above: 2.63, 4.68, 2.99, 2.68, 7.61, 5.14, 3.54.
The following ΔH_f (0 K) values (in eV per atom) correspond, in order, to the records above: -2.442, -2.194, -2.846, -1.731, -2.963, -1.038, -2.494.